Record 1
Below is crystalline NaNbGeO5 at its relaxed geometry, with properties calculated at the GGA-PBE level.

Lattice parameters (Å, degrees): 9.0156 6.9446 7.6979 64.19 90.00 90.00
With the nearest neighbours (Å) after each atom.
Element x y z (fractional)
1 Na 0.4193 0.7589 0.2040  6 O 2.36-2.59
2 Na 0.0807 0.7589 0.7040  6 O 2.36-2.59
3 Na 0.9193 0.2411 0.2960  6 O 2.36-2.59
4 Na 0.5807 0.2411 0.7960  6 O 2.36-2.59
5 O 0.1825 0.9536 0.0855  1 Ge 1.77
6 O 0.9522 0.8452 0.3877  1 Ge 1.78
7 O 0.8175 0.0464 0.9145  1 Ge 1.77
8 O 0.4522 0.1548 0.1123  1 Ge 1.78
9 O 0.4540 0.3578 0.3755  1 Ge 1.77
10 O 0.1900 0.5622 0.4060  1 Ge 1.77
11 O 0.3175 0.9536 0.5855  1 Ge 1.77
12 O 0.5478 0.8452 0.8877  1 Ge 1.78
13 O 0.0460 0.3578 0.8755  1 Ge 1.77
14 O 0.1786 0.2534 0.2516  1 Nb 1.83
15 O 0.6825 0.0464 0.4145  1 Ge 1.77
16 O 0.6900 0.4378 0.0940  1 Ge 1.77
17 O 0.6786 0.7466 0.2484  1 Nb 1.83
18 O 0.3214 0.2534 0.7516  1 Nb 1.83
19 O 0.8214 0.7466 0.7484  1 Nb 1.83
20 O 0.9540 0.6422 0.1245  1 Ge 1.77
21 O 0.0478 0.1548 0.6123  1 Ge 1.78
22 O 0.3100 0.5622 0.9060  1 Ge 1.77
23 O 0.8100 0.4378 0.5940  1 Ge 1.77
24 O 0.5460 0.6422 0.6245  1 Ge 1.77
25 Nb 0.2386 0.2591 0.0219  4 O 1.83-2.02
26 Nb 0.7386 0.7409 0.4781  4 O 1.83-2.02
27 Nb 0.2614 0.2591 0.5219  4 O 1.83-2.02
28 Nb 0.7614 0.7409 0.9781  4 O 1.83-2.02
29 Ge 0.0637 0.7542 0.2482  4 O 1.77-1.78
30 Ge 0.9363 0.2458 0.7518  4 O 1.77-1.78
31 Ge 0.5637 0.2458 0.2518  4 O 1.77-1.78
32 Ge 0.4363 0.7542 0.7482  4 O 1.77-1.78

E_tot: -232.00 eV per cell
theoretical density: 4.1 g/cm³
total magnetization: 0.00 μB per cell
DFT formation energy: -249 kJ/mol of atoms

***

Record 2
Below is crystalline MgBi2I8O8 at its relaxed geometry, with properties calculated at the GGA-PBE level.

Lattice parameters (Å, degrees): 7.4771 13.2198 14.2991 90.00 102.48 90.00
With the nearest neighbours (Å) after each atom.
Element x y z (fractional)
1 O 0.2774 0.4162 0.0199  1 O 1.39
2 O 0.2774 0.0838 0.5199  1 O 1.39
3 O 0.8761 0.5760 0.0541  1 O 1.39
4 O 0.7226 0.5838 0.9801  1 O 1.39
5 O 0.8761 0.9240 0.5541  1 O 1.39
6 O 0.1239 0.4240 0.9459  1 O 1.39
7 O 0.2884 0.6158 0.9949  1 I 1.82
8 O 0.7116 0.1158 0.5051  1 I 1.82
9 O 0.1239 0.0760 0.4459  1 O 1.39
10 O 0.7116 0.3842 0.0051  1 I 1.82
11 O 0.3418 0.9767 0.3379  1 I 1.83
12 O 0.3418 0.5233 0.8379  1 I 1.83
13 O 0.2884 0.8842 0.4949  1 I 1.82
14 O 0.6582 0.4767 0.1621  1 I 1.83
15 O 0.6582 0.0233 0.6621  1 I 1.83
16 O 0.7226 0.9162 0.4801  1 O 1.39
17 I 0.7191 0.1492 0.2380  1 Bi 2.89
18 I 0.4607 0.8672 0.0915  1 Bi 2.91
19 I 0.4607 0.6328 0.5915  1 Bi 2.91
20 I 0.1465 0.9326 0.3846  2 O 1.82-1.83
21 I 0.7191 0.3508 0.7380  1 Bi 2.89
22 I 0.2809 0.6492 0.2620  1 Bi 2.89
23 I 0.8535 0.4326 0.1154  2 O 1.82-1.83
24 I 0.1126 0.3460 0.5592  1 Bi 2.97
25 I 0.8874 0.6540 0.4408  1 Bi 2.97
26 I 0.5393 0.1328 0.9085  1 Bi 2.91
27 I 0.1126 0.1540 0.0592  1 Bi 2.97
28 I 0.1465 0.5674 0.8846  2 O 1.82-1.83
29 I 0.5393 0.3672 0.4085  1 Bi 2.91
30 I 0.8874 0.8460 0.9408  1 Bi 2.97
31 I 0.2809 0.8508 0.7620  1 Bi 2.89
32 I 0.8535 0.0674 0.6154  2 O 1.82-1.83
33 Bi 0.7789 0.4617 0.5731  3 I 2.89-2.97
34 Bi 0.2211 0.9617 0.9269  3 I 2.89-2.97
35 Bi 0.7789 0.0383 0.0731  3 I 2.89-2.97
36 Bi 0.2211 0.5383 0.4269  3 I 2.89-2.97
37 Mg 0.5000 0.0000 0.5000  4 O 2.07-2.19
38 Mg 0.5000 0.5000 0.0000  4 O 2.07-2.19

E_tot: -135.23 eV per cell
theoretical density: 3.8 g/cm³
total magnetization: 0.00 μB per cell
DFT formation energy: -39 kJ/mol of atoms

***

Record 3
Below is crystalline ThFe2Ni3 at its relaxed geometry, with properties calculated at the GGA-PBE level.

Lattice parameters (Å, degrees): 4.9856 4.9856 3.9987 90.00 90.00 120.00
With the nearest neighbours (Å) after each atom.
Element x y z (fractional)
1 Ni 0.0000 0.5000 0.5000  4 Fe 2.46, 4 Ni 2.49
2 Ni 0.5000 0.5000 0.5000  4 Fe 2.46, 4 Ni 2.49
3 Ni 0.5000 0.0000 0.5000  4 Fe 2.46, 4 Ni 2.49
4 Th 0.0000 0.0000 0.0000  6 Fe 2.88, 12 Ni 3.20
5 Fe 0.6667 0.3333 0.0000  6 Ni 2.46
6 Fe 0.3333 0.6667 0.0000  6 Ni 2.46

E_tot: -42.94 eV per cell
theoretical density: 10.0 g/cm³
total magnetization: 5.74 μB per cell
DFT formation energy: -20 kJ/mol of atoms

***

Record 4
Below is crystalline Na3NbZnSiP2O12 at its relaxed geometry, with properties calculated at the GGA-PBE level.

Lattice parameters (Å, degrees): 9.0435 9.0880 22.0778 89.71 90.00 119.84
With the nearest neighbours (Å) after each atom.
Element x y z (fractional)
1 O 0.8486 0.5318 0.7449  1 P 1.51
2 O 0.5116 0.6388 0.8589  1 P 1.60
3 O 0.9652 0.1584 0.5863  1 P 1.60
4 O 0.3043 0.8576 0.9798  1 Si 1.60
5 O 0.6832 0.5318 0.2449  1 P 1.51
6 O 0.4911 0.1524 0.2469  1 Si 1.60
7 O 0.8720 0.5135 0.1465  1 Si 1.59
8 O 0.5277 0.6811 0.9725  1 P 1.50
9 O 0.6415 0.5135 0.6465  1 Si 1.59
10 O 0.1510 0.6583 0.0824  1 Si 1.62
11 O 0.1932 0.1584 0.0863  1 P 1.60
12 O 0.9720 0.1794 0.3038  1 P 1.50
13 O 0.9708 0.8175 0.0902  1 Si 1.69
14 O 0.4726 0.3290 0.7454  1 P 1.54
15 O 0.8402 0.3058 0.5288  1 P 1.61
16 O 0.5074 0.6583 0.5824  1 Si 1.62
17 O 0.6308 0.1482 0.4209  1 Si 1.68
18 O 0.8344 0.5243 0.0268  1 Si 1.70
19 O 0.5283 0.7025 0.2542  1 P 1.58
20 O 0.8467 0.8175 0.5902  1 Si 1.69
21 O 0.4721 0.1178 0.6430  1 P 1.53
22 O 0.8195 0.9851 0.4096  1 Si 1.60
23 O 0.3396 0.8623 0.5771  1 P 1.52
24 O 0.1667 0.9789 0.1957  1 Si 1.71
25 O 0.6613 0.1524 0.7469  1 Si 1.60
26 O 0.6313 0.4924 0.9217  1 P 1.58
27 O 0.6457 0.1178 0.1430  1 P 1.53
28 O 0.2080 0.0124 0.3162  1 Si 1.59
29 O 0.1941 0.1920 0.4151  1 P 1.51
30 O 0.8477 0.0456 0.0862  1 P 1.57
31 O 0.8001 0.8088 0.9143  1 P 1.53
32 O 0.4655 0.3058 0.0288  1 P 1.61
33 O 0.8043 0.8342 0.1985  1 P 1.61
34 O 0.8791 0.3473 0.6428  1 P 1.50
35 O 0.5227 0.8623 0.0771  1 P 1.52
36 O 0.6899 0.5243 0.5268  1 Si 1.70
37 O 0.5139 0.3756 0.4199  1 P 1.60
38 O 0.2974 0.8153 0.2551  1 Si 1.72
39 O 0.4683 0.3473 0.1428  1 P 1.50
40 O 0.1979 0.0456 0.5862  1 P 1.57
41 O 0.1656 0.9851 0.9096  1 Si 1.60
42 O 0.5179 0.8153 0.7551  1 Si 1.72
43 O 0.9980 0.1920 0.9151  1 P 1.51
44 O 0.8044 0.0124 0.8162  1 Si 1.59
45 O 0.1756 0.4719 0.2544  1 P 1.58
46 O 0.2074 0.1794 0.8038  1 P 1.50
47 O 0.5174 0.1482 0.9209  1 Si 1.68
48 O 0.9813 0.7844 0.8119  1 P 1.52
49 O 0.5533 0.8576 0.4798  1 Si 1.60
50 O 0.8031 0.7844 0.3119  1 P 1.52
51 O 0.0087 0.8088 0.4143  1 P 1.53
52 O 0.1419 0.4954 0.8665  1 P 1.59
53 O 0.0242 0.2070 0.1906  1 P 1.59
54 O 0.3354 0.4770 0.0771  1 P 1.51
55 O 0.3535 0.4954 0.3665  1 P 1.59
56 O 0.3592 0.8573 0.8605  1 Si 1.73, 1 Nb 1.93
57 O 0.1534 0.6811 0.4725  1 P 1.50
58 O 0.8611 0.4924 0.4217  1 P 1.58
59 O 0.6901 0.1616 0.0291  1 P 1.61
60 O 0.2962 0.4719 0.7544  1 P 1.58
61 O 0.1272 0.6388 0.3589  1 P 1.60
62 O 0.1286 0.4502 0.9809  1 P 1.52
63 O 0.8564 0.3290 0.2454  1 P 1.54
64 O 0.1828 0.2070 0.6906  1 P 1.59
65 O 0.3216 0.4502 0.4809  1 P 1.52
66 O 0.1742 0.7025 0.7542  1 P 1.58
67 O 0.8122 0.9789 0.6957  1 Si 1.71
68 O 0.1416 0.4770 0.5771  1 P 1.51
69 O 0.4715 0.1616 0.5291  1 P 1.61
70 O 0.8617 0.3756 0.9199  1 P 1.60
71 O 0.4981 0.8573 0.3605  1 Si 1.73, 1 Nb 1.93
72 O 0.0300 0.8342 0.6985  1 P 1.61
73 Na 0.9973 0.0056 0.4888  3 O 2.32-2.48
74 Na 0.3077 0.9514 0.0754  3 O 2.28-2.45
75 Na 0.6437 0.9514 0.5754  3 O 2.28-2.45
76 Na 0.7046 0.0208 0.9092  4 O 2.26-2.50
77 Na 0.6372 0.6218 0.7413  4 O 2.31-2.50
78 Na 0.3162 0.0208 0.4092  4 O 2.26-2.50
79 Na 0.3074 0.6548 0.6555  3 O 2.34-2.46
80 Na 0.9846 0.6218 0.2413  4 O 2.31-2.50
81 Na 0.3696 0.0232 0.7445  4 O 2.29-2.56
82 Na 0.0394 0.3557 0.0807  4 O 2.33-2.47
83 Na 0.6707 0.3283 0.8226  3 O 2.29-2.48
84 Na 0.3163 0.3557 0.5807  4 O 2.33-2.47
85 Na 0.9787 0.6866 0.9138  4 O 2.37-2.48
86 Na 0.3474 0.6548 0.1555  3 O 2.34-2.46
87 Na 0.0083 0.0056 0.9888  3 O 2.32-2.48
88 Na 0.6576 0.3283 0.3226  3 O 2.29-2.48
89 Na 0.7079 0.6866 0.4138  4 O 2.37-2.48
90 Na 0.6536 0.0232 0.2445  4 O 2.29-2.56
91 Nb 0.3352 0.6683 0.8132  6 O 1.93-2.10
92 Nb 0.6738 0.3354 0.4797  6 O 1.95-2.12
93 Nb 0.0012 0.9957 0.1466  6 O 1.91-2.13
94 Nb 0.3331 0.6683 0.3132  6 O 1.93-2.10
95 Nb 0.6617 0.3354 0.9797  6 O 1.95-2.12
96 Nb 0.9944 0.9957 0.6466  6 O 1.91-2.13
97 P 0.7051 0.7066 0.2539  4 O 1.51-1.61
98 P 0.6712 0.0407 0.0854  4 O 1.52-1.61
99 P 0.9611 0.3327 0.5859  4 O 1.50-1.61
100 P 0.0014 0.7066 0.7539  4 O 1.51-1.61
101 P 0.3716 0.3327 0.0859  4 O 1.50-1.61
102 P 0.3695 0.0407 0.5854  4 O 1.52-1.61
103 P 0.0415 0.6599 0.4190  4 O 1.50-1.60
104 P 0.3358 0.3741 0.4215  4 O 1.51-1.60
105 P 0.0059 0.2947 0.2503  4 O 1.50-1.59
106 P 0.6184 0.6599 0.9190  4 O 1.50-1.60
107 P 0.2888 0.2947 0.7503  4 O 1.50-1.59
108 P 0.0383 0.3741 0.9215  4 O 1.51-1.60
109 Si 0.3304 0.9660 0.9193  4 O 1.60-1.73
110 Si 0.7066 0.0044 0.7554  4 O 1.59-1.72
111 Si 0.9582 0.6255 0.0874  4 O 1.59-1.70
112 Si 0.2978 0.0044 0.2554  4 O 1.59-1.72
113 Si 0.6673 0.6255 0.5874  4 O 1.59-1.70
114 Si 0.6355 0.9660 0.4193  4 O 1.60-1.73
115 Zn 0.3415 0.6692 0.5149  4 O 1.98-2.15
116 Zn 0.0066 0.0109 0.8491  4 O 1.96-2.12
117 Zn 0.3277 0.6692 0.0149  4 O 1.98-2.15
118 Zn 0.6749 0.3314 0.6822  5 O 1.98-2.21
119 Zn 0.6565 0.3314 0.1822  5 O 1.98-2.21
120 Zn 0.0042 0.0109 0.3491  4 O 1.96-2.12

E_tot: -814.92 eV per cell
distance to the lowest polymorph of the same formula: 0 meV per atom
theoretical density: 3.2 g/cm³
total magnetization: 0.00 μB per cell
DFT formation energy: -256 kJ/mol of atoms

***

Record 5
Below is crystalline PrMgRh at its relaxed geometry, with properties calculated at the GGA-PBE level.

Lattice parameters (Å, degrees): 4.2202 7.3028 8.7550 90.00 90.00 90.00
With the nearest neighbours (Å) after each atom.
Element x y z (fractional)
1 Mg 0.7500 0.3666 0.4426  4 Rh 2.78-2.90, 2 Mg 3.04
2 Mg 0.2500 0.6334 0.5574  4 Rh 2.78-2.90, 2 Mg 3.04
3 Mg 0.2500 0.1334 0.9426  4 Rh 2.78-2.90, 2 Mg 3.04
4 Mg 0.7500 0.8666 0.0574  4 Rh 2.78-2.90, 2 Mg 3.04
5 Rh 0.7500 0.7465 0.3735  4 Mg 2.78-2.90, 5 Pr 3.03-3.11
6 Rh 0.2500 0.7535 0.8735  4 Mg 2.78-2.90, 5 Pr 3.03-3.11
7 Rh 0.7500 0.2465 0.1265  4 Mg 2.78-2.90, 5 Pr 3.03-3.11
8 Rh 0.2500 0.2535 0.6265  4 Mg 2.78-2.90, 5 Pr 3.03-3.11
9 Pr 0.7500 0.9617 0.6790  5 Rh 3.03-3.11, 5 Mg 3.37-3.38
10 Pr 0.2500 0.0383 0.3210  5 Rh 3.03-3.11, 5 Mg 3.37-3.38
11 Pr 0.7500 0.4617 0.8210  5 Rh 3.03-3.11, 5 Mg 3.37-3.38
12 Pr 0.2500 0.5383 0.1790  5 Rh 3.03-3.11, 5 Mg 3.37-3.38

E_tot: -61.95 eV per cell
theoretical density: 6.6 g/cm³
DFT formation energy: -56 kJ/mol of atoms

***

Record 6
Below is crystalline Ba3LaI9 at its relaxed geometry, with properties calculated at the GGA-PBE level.

Lattice parameters (Å, degrees): 8.0894 8.6913 33.8992 87.92 90.00 90.00
With the nearest neighbours (Å) after each atom.
Element x y z (fractional)
1 I 0.2379 0.3979 0.4902  3 Ba 3.44-3.49
2 I 0.2447 0.0658 0.0103  1 La 3.29, 2 Ba 3.56-3.59
3 I 0.7025 0.8906 0.9937  1 La 3.24, 2 Ba 3.55-3.56
4 I 0.3095 0.5145 0.2522  1 La 3.42, 3 Ba 3.59-3.61
5 I 0.2110 0.6506 0.5992  1 La 3.26, 2 Ba 3.60-3.62
6 I 0.3559 0.1242 0.5986  1 La 3.26, 2 Ba 3.55-3.58
7 I 0.2029 0.9783 0.3685  1 La 3.48, 3 Ba 3.59-3.62
8 I 0.1508 0.3437 0.9008  3 Ba 3.43-3.47
9 I 0.6905 0.5145 0.7522  1 La 3.42, 3 Ba 3.59-3.61
10 I 0.3029 0.5273 0.1279  1 La 3.45, 3 Ba 3.59-3.68
11 I 0.1114 0.3222 0.6987  3 Ba 3.45-3.86
12 I 0.6667 0.8464 0.3924  1 La 3.32, 2 Ba 3.54
13 I 0.8160 0.9838 0.7526  1 La 3.39, 3 Ba 3.55-3.66
14 I 0.8492 0.3437 0.4008  3 Ba 3.43-3.47
15 I 0.2975 0.8906 0.4937  1 La 3.24, 2 Ba 3.55-3.56
16 I 0.7621 0.3979 0.9902  3 Ba 3.44-3.49
17 I 0.6072 0.1477 0.2975  1 La 3.21, 1 Ba 3.55
18 I 0.2570 0.5881 0.0111  1 La 3.25, 2 Ba 3.59-3.62
19 I 0.1623 0.6460 0.7960  1 La 3.21, 1 Ba 3.48
20 I 0.6971 0.5273 0.6279  1 La 3.45, 3 Ba 3.59-3.68
21 I 0.3333 0.8464 0.8924  1 La 3.32, 2 Ba 3.54
22 I 0.6007 0.8415 0.2077  2 Ba 3.43-3.46, 1 La 3.50
23 I 0.3230 0.5084 0.3669  1 La 3.43, 3 Ba 3.62-3.76
24 I 0.8122 0.9928 0.6274  1 La 3.35, 2 Ba 3.60-3.64
25 I 0.1878 0.9928 0.1274  1 La 3.35, 2 Ba 3.60-3.64
26 I 0.8377 0.6460 0.2960  1 La 3.21, 1 Ba 3.48
27 I 0.6441 0.1242 0.0986  1 La 3.26, 2 Ba 3.55-3.58
28 I 0.3993 0.8415 0.7077  2 Ba 3.43-3.46, 1 La 3.50
29 I 0.6770 0.5084 0.8669  1 La 3.43, 3 Ba 3.62-3.76
30 I 0.7890 0.6506 0.0992  1 La 3.26, 2 Ba 3.60-3.62
31 I 0.7971 0.9783 0.8685  1 La 3.48, 3 Ba 3.59-3.62
32 I 0.8886 0.3222 0.1987  3 Ba 3.45-3.86
33 I 0.1840 0.9838 0.2526  1 La 3.39, 3 Ba 3.55-3.66
34 I 0.7430 0.5881 0.5111  1 La 3.25, 2 Ba 3.59-3.62
35 I 0.7553 0.0658 0.5103  1 La 3.29, 2 Ba 3.56-3.59
36 I 0.3928 0.1477 0.7975  1 La 3.21, 1 Ba 3.55
37 Ba 0.0302 0.6789 0.4330  7 I 3.47-3.62
38 Ba 0.0178 0.2843 0.3084  8 I 3.47-3.86
39 Ba 0.9822 0.2843 0.8084  8 I 3.47-3.86
40 Ba 0.9855 0.3167 0.5702  7 I 3.44-3.64
41 Ba 0.0026 0.7063 0.6921  8 I 3.45-3.77
42 Ba 0.9974 0.7063 0.1921  8 I 3.45-3.77
43 Ba 0.5175 0.1785 0.9307  7 I 3.43-3.76
44 Ba 0.0145 0.3167 0.0702  7 I 3.44-3.64
45 Ba 0.4825 0.1785 0.4307  7 I 3.43-3.76
46 Ba 0.4735 0.2155 0.1922  8 I 3.43-3.77
47 Ba 0.5265 0.2155 0.6922  8 I 3.43-3.77
48 Ba 0.9698 0.6789 0.9330  7 I 3.47-3.62
49 La 0.5202 0.7978 0.8065  8 I 3.21-3.50
50 La 0.4538 0.8215 0.0672  7 I 3.24-3.45
51 La 0.5462 0.8215 0.5672  7 I 3.24-3.45
52 La 0.4798 0.7978 0.3065  8 I 3.21-3.50

E_tot: -186.41 eV per cell
theoretical density: 4.7 g/cm³
total magnetization: 0.01 μB per cell
DFT formation energy: -190 kJ/mol of atoms